No. 1
! ReGeAs, optimized geometry, DFT PBE-GGA; values from VASP
! SG: C2/m, No. 12
! total energy: -7.28 eV per atom
! DFT formation energy: -35.8 meV per atom
! size of the total moment: 0.0 μB/cell
&SYSTEM
  ibrav = 0, nat = 6, ntyp = 3
/
ATOMIC_SPECIES
Re 186.21 Re.upf
Ge 72.64 Ge.upf
As 74.92 As.upf
CELL_PARAMETERS angstrom
3.170 0.327 -3.686
4.116 2.272 -1.278
6.760 -3.874 0.473
ATOMIC_POSITIONS crystal
Re 0.161 0.161 0.789
Re 0.839 0.839 0.211
Ge 0.397 0.397 0.896
Ge 0.603 0.603 0.104
As 0.859 0.859 0.528
As 0.141 0.141 0.472


No. 2
! GeAsSe, optimized geometry, DFT PBE-GGA; values from VASP
! SG: Pnna, No. 52
! total energy: -4.43 eV per atom
! DFT formation energy: -332.0 meV per atom
&SYSTEM
  ibrav = 0, nat = 24, ntyp = 3
/
ATOMIC_SPECIES
Ge 72.64 Ge.upf
As 74.92 As.upf
Se 78.96 Se.upf
CELL_PARAMETERS angstrom
-0.962 -4.810 1.559
3.627 2.337 9.445
-11.640 3.497 3.605
ATOMIC_POSITIONS crystal
Ge 0.298 0.250 0.250
Ge 0.798 0.250 0.750
Ge 0.750 0.000 0.234
Ge 0.202 0.750 0.250
Ge 0.702 0.750 0.750
Ge 0.750 0.500 0.266
Ge 0.250 0.500 0.734
Ge 0.250 0.000 0.766
As 0.580 0.085 0.637
As 0.080 0.415 0.137
As 0.420 0.585 0.137
As 0.580 0.415 0.863
As 0.080 0.085 0.363
As 0.920 0.915 0.637
As 0.420 0.915 0.363
As 0.920 0.585 0.863
Se 0.927 0.843 0.116
Se 0.573 0.157 0.116
Se 0.427 0.657 0.616
Se 0.573 0.343 0.384
Se 0.073 0.157 0.884
Se 0.073 0.343 0.616
Se 0.927 0.657 0.384
Se 0.427 0.843 0.884


No. 3
! Sr4GeAs4, optimized geometry, DFT PBE-GGA; values from VASP
! SG: P-43n, No. 218
! total energy: -4.29 eV per atom
! DFT formation energy: -957.1 meV per atom
&SYSTEM
  ibrav = 0, nat = 72, ntyp = 3
/
ATOMIC_SPECIES
Ge 72.64 Ge.upf
Sr 87.62 Sr.upf
As 74.92 As.upf
CELL_PARAMETERS angstrom
12.955 0.000 0.000
0.000 12.955 0.000
0.000 0.000 12.955
ATOMIC_POSITIONS crystal
Ge 0.250 0.000 0.500
Ge 0.000 0.500 0.250
Ge 0.750 0.000 0.500
Ge 0.000 0.000 0.000
Ge 0.500 0.750 0.000
Ge 0.000 0.500 0.750
Ge 0.500 0.250 0.000
Ge 0.500 0.500 0.500
Sr 0.905 0.132 0.356
Sr 0.644 0.095 0.132
Sr 0.595 0.856 0.368
Sr 0.856 0.632 0.405
Sr 0.144 0.632 0.595
Sr 0.868 0.356 0.095
Sr 0.144 0.368 0.405
Sr 0.145 0.855 0.855
Sr 0.405 0.856 0.632
Sr 0.856 0.368 0.595
Sr 0.855 0.145 0.855
Sr 0.644 0.905 0.868
Sr 0.868 0.644 0.905
Sr 0.356 0.095 0.868
Sr 0.132 0.356 0.905
Sr 0.905 0.868 0.644
Sr 0.132 0.644 0.095
Sr 0.645 0.355 0.355
Sr 0.855 0.855 0.145
Sr 0.632 0.405 0.856
Sr 0.632 0.595 0.144
Sr 0.405 0.144 0.368
Sr 0.095 0.868 0.356
Sr 0.356 0.905 0.132
Sr 0.145 0.145 0.145
Sr 0.368 0.595 0.856
Sr 0.095 0.132 0.644
Sr 0.355 0.645 0.355
Sr 0.645 0.645 0.645
Sr 0.368 0.405 0.144
Sr 0.595 0.144 0.632
Sr 0.355 0.355 0.645
As 0.119 0.391 0.146
As 0.391 0.146 0.119
As 0.110 0.110 0.890
As 0.881 0.391 0.854
As 0.354 0.109 0.619
As 0.890 0.890 0.890
As 0.854 0.881 0.391
As 0.881 0.609 0.146
As 0.381 0.354 0.891
As 0.619 0.354 0.109
As 0.381 0.646 0.109
As 0.110 0.890 0.110
As 0.109 0.619 0.354
As 0.610 0.610 0.390
As 0.891 0.381 0.354
As 0.890 0.110 0.110
As 0.619 0.646 0.891
As 0.646 0.891 0.619
As 0.610 0.390 0.610
As 0.646 0.109 0.381
As 0.391 0.854 0.881
As 0.109 0.381 0.646
As 0.891 0.619 0.646
As 0.609 0.854 0.119
As 0.390 0.390 0.390
As 0.354 0.891 0.381
As 0.390 0.610 0.610
As 0.119 0.609 0.854
As 0.854 0.119 0.609
As 0.609 0.146 0.881
As 0.146 0.881 0.609
As 0.146 0.119 0.391


No. 4
! Sr3Ge2As4, optimized geometry, DFT PBE-GGA; values from VASP
! SG: P2_1/c, No. 14
! total energy: -4.46 eV per atom
! DFT formation energy: -796.2 meV per atom
&SYSTEM
  ibrav = 0, nat = 36, ntyp = 3
/
ATOMIC_SPECIES
As 74.92 As.upf
Sr 87.62 Sr.upf
Ge 72.64 Ge.upf
CELL_PARAMETERS angstrom
18.769 0.000 0.000
0.000 7.560 0.000
0.000 2.873 7.155
ATOMIC_POSITIONS crystal
As 0.061 0.248 0.008
As 0.314 0.281 0.040
As 0.568 0.741 0.503
As 0.068 0.759 0.497
As 0.814 0.219 0.960
As 0.686 0.719 0.960
As 0.561 0.252 0.992
As 0.802 0.724 0.498
As 0.198 0.276 0.502
As 0.439 0.748 0.008
As 0.939 0.752 0.992
As 0.186 0.781 0.040
As 0.302 0.776 0.502
As 0.432 0.259 0.497
As 0.698 0.224 0.498
As 0.932 0.241 0.503
Sr 0.939 0.988 0.255
Sr 0.315 0.013 0.782
Sr 0.185 0.513 0.782
Sr 0.440 0.998 0.261
Sr 0.815 0.487 0.218
Sr 0.560 0.002 0.739
Sr 0.061 0.012 0.745
Sr 0.685 0.987 0.218
Sr 0.439 0.512 0.745
Sr 0.561 0.488 0.255
Sr 0.940 0.502 0.739
Sr 0.060 0.498 0.261
Ge 0.629 0.528 0.787
Ge 0.871 0.028 0.787
Ge 0.740 0.415 0.685
Ge 0.240 0.085 0.315
Ge 0.129 0.972 0.213
Ge 0.760 0.915 0.685
Ge 0.260 0.585 0.315
Ge 0.371 0.472 0.213


No. 5
! Ge5Te8As2, optimized geometry, DFT PBE-GGA; values from VASP
! SG: C2/m, No. 12
! offset from the most stable computed form: 43.8 meV/atom
! total energy: -3.84 eV per atom
! DFT formation energy: -4.4 meV per atom
! size of the total moment: 0.0 μB/cell
&SYSTEM
  ibrav = 0, nat = 15, ntyp = 3
/
ATOMIC_SPECIES
Te 127.60 Te.upf
Ge 72.64 Ge.upf
As 74.92 As.upf
CELL_PARAMETERS angstrom
2.974 6.598 0.000
-2.974 6.598 0.000
0.000 5.312 10.590
ATOMIC_POSITIONS crystal
Te 0.751 0.751 0.125
Te 0.500 0.500 0.000
Te 0.251 0.251 0.375
Te 0.249 0.249 0.875
Te 0.749 0.749 0.625
Te 0.001 0.001 0.750
Te 0.500 0.500 0.500
Te 0.999 0.999 0.250
Ge 0.503 0.503 0.747
Ge 0.250 0.250 0.126
Ge 0.000 0.000 0.000
Ge 0.497 0.497 0.253
Ge 0.750 0.750 0.874
As 0.750 0.750 0.375
As 0.250 0.250 0.625


No. 6
! Ge5Te8As2, optimized geometry, DFT PBE-GGA; values from VASP
! SG: P-3m1, No. 164
! offset from the most stable computed form: 0.0 meV/atom
! total energy: -3.89 eV per atom
! DFT formation energy: -48.2 meV per atom
! size of the total moment: 0.0 μB/cell
&SYSTEM
  ibrav = 0, nat = 15, ntyp = 3
/
ATOMIC_SPECIES
Ge 72.64 Ge.upf
As 74.92 As.upf
Te 127.60 Te.upf
CELL_PARAMETERS angstrom
2.100 -3.638 0.000
2.100 3.638 0.000
0.000 0.000 27.231
ATOMIC_POSITIONS crystal
Ge 0.667 0.333 0.871
Ge 0.333 0.667 0.129
Ge 0.333 0.667 0.741
Ge 0.667 0.333 0.259
Ge 0.000 0.000 0.000
As 0.000 0.000 0.610
As 0.000 0.000 0.390
Te 0.333 0.667 0.936
Te 0.667 0.333 0.678
Te 0.333 0.667 0.554
Te 0.667 0.333 0.064
Te 0.000 0.000 0.807
Te 0.667 0.333 0.446
Te 0.333 0.667 0.322
Te 0.000 0.000 0.193


No. 7
! Ge2Te5As2, optimized geometry, DFT PBE-GGA; values from VASP
! SG: P-3m1, No. 164
! total energy: -3.84 eV per atom
! DFT formation energy: -35.6 meV per atom
&SYSTEM
  ibrav = 0, nat = 9, ntyp = 3
/
ATOMIC_SPECIES
As 74.92 As.upf
Ge 72.64 Ge.upf
Te 127.60 Te.upf
CELL_PARAMETERS angstrom
-2.082 -3.606 0.000
-2.082 3.606 0.000
0.000 0.000 -16.965
ATOMIC_POSITIONS crystal
As 0.000 0.000 0.682
As 0.000 0.000 0.318
Ge 0.333 0.667 0.895
Ge 0.667 0.333 0.105
Te 0.667 0.333 0.792
Te 0.000 0.000 0.000
Te 0.333 0.667 0.591
Te 0.667 0.333 0.409
Te 0.333 0.667 0.208


No. 8
! GeAsW, optimized geometry, DFT PBE-GGA; values from VASP
! SG: C2/m, No. 12
! total energy: -7.44 eV per atom
! DFT formation energy: -27.9 meV per atom
! size of the total moment: 0.0 μB/cell
&SYSTEM
  ibrav = 0, nat = 6, ntyp = 3
/
ATOMIC_SPECIES
W 183.84 W.upf
As 74.92 As.upf
Ge 72.64 Ge.upf
CELL_PARAMETERS angstrom
-3.733 -0.769 3.149
-1.643 -3.345 3.248
1.240 1.295 7.510
ATOMIC_POSITIONS crystal
W 0.846 0.846 0.200
W 0.154 0.154 0.800
As 0.856 0.856 0.534
As 0.144 0.144 0.466
Ge 0.604 0.604 0.104
Ge 0.396 0.396 0.896


No. 9
! ZnGeAs2, optimized geometry, DFT PBE-GGA; values from VASP
! SG: I-42d, No. 122
! offset from the most stable computed form: 0.0 meV/atom
! total energy: -3.97 eV per atom
! DFT formation energy: -165.1 meV per atom
! maximum piezoelectric response: 0.2 C/m2
&SYSTEM
  ibrav = 0, nat = 8, ntyp = 3
/
ATOMIC_SPECIES
As 74.92 As.upf
Zn 65.41 Zn.upf
Ge 72.64 Ge.upf
CELL_PARAMETERS angstrom
-2.879 2.879 5.686
2.879 -2.879 5.686
2.879 2.879 -5.686
ATOMIC_POSITIONS crystal
As 0.125 0.125 0.500
As 0.875 0.375 0.000
As 0.375 0.875 0.000
As 0.625 0.625 0.500
Zn 0.750 0.250 0.500
Zn 0.000 0.000 0.000
Ge 0.250 0.750 0.500
Ge 0.500 0.500 0.000


No. 10
! ZnGeAs2, optimized geometry, DFT PBE-GGA; values from VASP
! SG: P-4m2, No. 115
! offset from the most stable computed form: 25.0 meV/atom
! total energy: -3.94 eV per atom
! DFT formation energy: -140.1 meV per atom
! size of the total moment: 0.0 μB/cell
&SYSTEM
  ibrav = 0, nat = 4, ntyp = 3
/
ATOMIC_SPECIES
Zn 65.41 Zn.upf
As 74.92 As.upf
Ge 72.64 Ge.upf
CELL_PARAMETERS angstrom
-2.299 -1.574 2.933
-0.747 -3.230 -2.319
4.612 -2.643 2.196
ATOMIC_POSITIONS crystal
Zn 0.500 0.500 0.000
As 0.000 0.500 0.243
As 0.500 0.000 0.757
Ge 0.000 0.000 0.500


No. 11
! ZnGeAs2, optimized geometry, DFT PBE-GGA; values from VASP
! SG: R3m, No. 160
! offset from the most stable computed form: 57.5 meV/atom
! total energy: -3.91 eV per atom
! DFT formation energy: -107.6 meV per atom
! size of the total moment: 0.0 μB/cell
&SYSTEM
  ibrav = 0, nat = 4, ntyp = 3
/
ATOMIC_SPECIES
As 74.92 As.upf
Zn 65.41 Zn.upf
Ge 72.64 Ge.upf
CELL_PARAMETERS angstrom
6.695 -2.035 0.000
6.695 2.035 0.000
6.077 0.000 3.470
ATOMIC_POSITIONS crystal
As 0.129 0.129 0.129
As 0.622 0.622 0.622
Zn 0.492 0.492 0.492
Ge 0.007 0.007 0.007


No. 12
! Zr3GeAs5, optimized geometry, DFT PBE-GGA; values from VASP
! SG: Pm, No. 6
! total energy: -6.76 eV per atom
! DFT formation energy: -811.9 meV per atom
! size of the total moment: 0.0 μB/cell
&SYSTEM
  ibrav = 0, nat = 36, ntyp = 3
/
ATOMIC_SPECIES
As 74.92 As.upf
Zr 91.22 Zr.upf
Ge 72.64 Ge.upf
CELL_PARAMETERS angstrom
3.711 0.000 0.000
0.000 6.806 0.000
0.000 0.004 27.628
ATOMIC_POSITIONS crystal
As 0.500 0.122 0.014
As 0.000 0.886 0.653
As 0.500 0.083 0.883
As 0.000 0.386 0.180
As 0.000 0.386 0.847
As 0.500 0.584 0.284
As 0.500 0.583 0.617
As 0.000 0.907 0.118
As 0.000 0.385 0.513
As 0.000 0.879 0.986
As 0.000 0.905 0.784
As 0.000 0.405 0.716
As 0.500 0.083 0.216
As 0.500 0.084 0.549
As 0.000 0.879 0.319
As 0.000 0.906 0.451
As 0.500 0.583 0.951
As 0.000 0.414 0.050
As 0.000 0.414 0.383
As 0.500 0.123 0.348
Zr 0.500 0.728 0.720
Zr 0.000 0.771 0.888
Zr 0.500 0.228 0.781
Zr 0.000 0.771 0.555
Zr 0.000 0.772 0.222
Zr 0.000 0.272 0.279
Zr 0.500 0.727 0.053
Zr 0.500 0.727 0.387
Zr 0.000 0.272 0.946
Zr 0.500 0.229 0.113
Zr 0.500 0.229 0.446
Zr 0.000 0.271 0.611
Ge 0.500 0.128 0.681
Ge 0.500 0.626 0.485
Ge 0.500 0.626 0.152
Ge 0.500 0.628 0.818


No. 13
! AsH3, optimized geometry, DFT PBE-GGA; values from VASP
! SG: P4_232, No. 208
! total energy: -2.85 eV per atom
! DFT formation energy: 726.9 meV per atom
! size of the total moment: 2.0 μB/cell
&SYSTEM
  ibrav = 0, nat = 16, ntyp = 2
/
ATOMIC_SPECIES
H 1.01 H.upf
As 74.92 As.upf
CELL_PARAMETERS angstrom
-5.088 -0.200 3.049
3.034 -1.022 4.997
0.357 5.843 0.979
ATOMIC_POSITIONS crystal
H 0.500 0.000 0.680
H 0.180 0.500 0.000
H 0.000 0.320 0.500
H 0.500 0.000 0.320
H 0.000 0.180 0.500
H 0.320 0.500 0.000
H 0.000 0.820 0.500
H 0.500 0.000 0.180
H 0.500 0.000 0.820
H 0.680 0.500 0.000
H 0.000 0.680 0.500
H 0.820 0.500 0.000
As 0.250 0.250 0.250
As 0.750 0.250 0.750
As 0.750 0.750 0.250
As 0.250 0.750 0.750


No. 14
! Hg3As2H2O8, optimized geometry, DFT PBE-GGA; values from VASP
! SG: C2/c, No. 15
! total energy: -4.66 eV per atom
! DFT formation energy: -1248.3 meV per atom
! size of the total moment: 0.0 μB/cell
&SYSTEM
  ibrav = 0, nat = 30, ntyp = 4
/
ATOMIC_SPECIES
Hg 200.59 Hg.upf
O 16.00 O.upf
H 1.01 H.upf
As 74.92 As.upf
CELL_PARAMETERS angstrom
-2.222 6.888 3.487
-3.638 -1.486 -7.007
-2.810 -6.979 4.750
ATOMIC_POSITIONS crystal
Hg 0.999 0.725 0.419
Hg 0.514 0.764 0.750
Hg 0.001 0.275 0.581
Hg 0.486 0.236 0.250
Hg 0.806 0.580 0.081
Hg 0.194 0.420 0.919
O 0.071 0.087 0.197
O 0.154 0.766 0.692
O 0.640 0.890 0.018
O 0.372 0.621 0.482
O 0.243 0.125 0.512
O 0.628 0.379 0.518
O 0.426 0.538 0.192
O 0.390 0.874 0.303
O 0.846 0.234 0.308
O 0.113 0.731 0.988
O 0.887 0.269 0.012
O 0.360 0.110 0.982
O 0.574 0.462 0.808
O 0.929 0.913 0.803
O 0.610 0.126 0.697
O 0.757 0.875 0.488
H 0.722 0.191 0.828
H 0.136 0.105 0.328
H 0.278 0.809 0.172
H 0.864 0.895 0.672
As 0.861 0.126 0.132
As 0.494 0.729 0.368
As 0.506 0.271 0.632
As 0.139 0.874 0.868


No. 15
! InAsH2O5, optimized geometry, DFT PBE-GGA; values from VASP
! SG: P-1, No. 2
! total energy: -5.60 eV per atom
! DFT formation energy: -1654.3 meV per atom
! size of the total moment: 0.0 μB/cell
&SYSTEM
  ibrav = 0, nat = 18, ntyp = 4
/
ATOMIC_SPECIES
O 16.00 O.upf
H 1.01 H.upf
In 114.82 In.upf
As 74.92 As.upf
CELL_PARAMETERS angstrom
5.609 0.000 0.000
-1.728 5.494 0.000
-0.526 -1.182 6.709
ATOMIC_POSITIONS crystal
O 0.644 0.650 0.889
O 0.057 0.929 0.738
O 0.087 0.457 0.723
O 0.913 0.543 0.277
O 0.311 0.854 0.148
O 0.446 0.238 0.481
O 0.943 0.071 0.262
O 0.554 0.762 0.519
O 0.689 0.146 0.852
O 0.356 0.350 0.111
H 0.116 0.638 0.738
H 0.884 0.362 0.262
H 0.930 0.379 0.779
H 0.070 0.621 0.221
In 0.632 0.729 0.219
In 0.368 0.271 0.781
As 0.262 0.121 0.259
As 0.738 0.879 0.741